(1)
Below is a relaxed structure of LiFePO4, with properties calculated at the PBE+U level.

a b c (Å): 10.0258 10.0258 24.0916
angles (deg): 90.00 90.00 120.00
Sites, in units of the cell vectors:
1 Li 0.0218 0.9709 0.0000
2 Li 0.0291 0.0510 0.3333
3 Li 0.0305 0.5816 0.3397
4 Li 0.0400 0.4768 0.1539
5 Li 0.0510 0.0218 0.1667
6 Li 0.0614 0.4644 0.4991
7 Li 0.4030 0.9386 0.1658
8 Li 0.4184 0.4489 0.6731
9 Li 0.4369 0.9600 0.8206
10 Li 0.4489 0.0305 0.5064
11 Li 0.4644 0.4030 0.3324
12 Li 0.4768 0.4369 0.9872
13 Li 0.5232 0.5631 0.4872
14 Li 0.5356 0.5970 0.8324
15 Li 0.5511 0.9695 0.0064
16 Li 0.5631 0.0400 0.3206
17 Li 0.5816 0.5511 0.1731
18 Li 0.5970 0.0614 0.6658
19 Li 0.9386 0.5356 0.9991
20 Li 0.9490 0.9782 0.6667
21 Li 0.9600 0.5232 0.6539
22 Li 0.9695 0.4184 0.8397
23 Li 0.9709 0.9490 0.8333
24 Li 0.9782 0.0291 0.5000
25 Fe 0.0819 0.7594 0.2249
26 Fe 0.1059 0.8233 0.5777
27 Fe 0.1244 0.7564 0.9004
28 Fe 0.1767 0.2827 0.9110
29 Fe 0.2406 0.3226 0.5582
30 Fe 0.2436 0.3679 0.2337
31 Fe 0.2827 0.1059 0.7443
32 Fe 0.3103 0.6639 0.0598
33 Fe 0.3226 0.0819 0.3916
34 Fe 0.3361 0.6465 0.3932
35 Fe 0.3535 0.6897 0.7265
36 Fe 0.3679 0.1244 0.0671
37 Fe 0.6321 0.8756 0.5671
38 Fe 0.6465 0.3103 0.2265
39 Fe 0.6639 0.3535 0.8932
40 Fe 0.6774 0.9181 0.8916
41 Fe 0.6897 0.3361 0.5598
42 Fe 0.7173 0.8941 0.2443
43 Fe 0.7564 0.6321 0.7337
44 Fe 0.7594 0.6774 0.0582
45 Fe 0.8233 0.7173 0.4110
46 Fe 0.8756 0.2436 0.4004
47 Fe 0.8941 0.1767 0.0777
48 Fe 0.9181 0.2406 0.7249
49 P 0.0816 0.7532 0.7730
50 P 0.0918 0.7853 0.0945
51 P 0.1321 0.7712 0.4457
52 P 0.2147 0.3065 0.4279
53 P 0.2288 0.3609 0.7790
54 P 0.2468 0.3284 0.1063
55 P 0.2833 0.6447 0.5993
56 P 0.3065 0.0918 0.2612
57 P 0.3284 0.0816 0.9396
58 P 0.3553 0.6386 0.9327
59 P 0.3609 0.1321 0.6124
60 P 0.3614 0.7167 0.2660
61 P 0.6386 0.2833 0.7660
62 P 0.6391 0.8679 0.1124
63 P 0.6447 0.3614 0.4327
64 P 0.6716 0.9184 0.4396
65 P 0.6935 0.9082 0.7612
66 P 0.7167 0.3553 0.0993
67 P 0.7532 0.6716 0.6063
68 P 0.7712 0.6391 0.2790
69 P 0.7853 0.6935 0.9279
70 P 0.8679 0.2288 0.9457
71 P 0.9082 0.2147 0.5945
72 P 0.9184 0.2468 0.2730
73 O 0.0146 0.1584 0.5686
74 O 0.0145 0.6619 0.8274
75 O 0.0181 0.6829 0.1464
76 O 0.0263 0.3420 0.2240
77 O 0.0342 0.7585 0.4969
78 O 0.0432 0.7732 0.3928
79 O 0.0657 0.3057 0.4470
80 O 0.0779 0.3704 0.7804
81 O 0.0877 0.1759 0.1109
82 O 0.0882 0.9123 0.7776
83 O 0.1204 0.6882 0.0512
84 O 0.1358 0.6558 0.6097
85 O 0.1439 0.9854 0.2353
86 O 0.1584 0.1439 0.4019
87 O 0.1600 0.6324 0.4417
88 O 0.1759 0.0882 0.9443
89 O 0.1930 0.6053 0.9165
90 O 0.2117 0.4620 0.0986
91 O 0.2268 0.2700 0.7261
92 O 0.2399 0.9343 0.1137
93 O 0.2415 0.2757 0.8302
94 O 0.2503 0.7883 0.7652
95 O 0.2515 0.5286 0.5514
96 O 0.2604 0.6744 0.3193
97 O 0.2700 0.0432 0.5595
98 O 0.2757 0.0342 0.6635
99 O 0.2771 0.7485 0.2181
100 O 0.2925 0.9221 0.4471
101 O 0.3057 0.2399 0.2804
102 O 0.3118 0.4321 0.3846
103 O 0.3157 0.9737 0.8907
104 O 0.3171 0.3352 0.4797
105 O 0.3256 0.5860 0.6526
106 O 0.3352 0.0181 0.3131
107 O 0.3381 0.3526 0.1607
108 O 0.3420 0.3157 0.0574
109 O 0.3442 0.4800 0.9430
110 O 0.3526 0.0145 0.9940
111 O 0.3676 0.5276 0.7751
112 O 0.3704 0.2925 0.6138
113 O 0.3947 0.5877 0.2498
114 O 0.4123 0.8070 0.5832
115 O 0.4140 0.7396 0.9860
116 O 0.4321 0.1204 0.2179
117 O 0.4620 0.2503 0.9319
118 O 0.4714 0.7229 0.8848
119 O 0.4724 0.8400 0.1084
120 O 0.4800 0.1358 0.7764
121 O 0.5200 0.8642 0.2764
122 O 0.5276 0.1600 0.6084
123 O 0.5286 0.2771 0.3848
124 O 0.5380 0.7497 0.4319
125 O 0.5679 0.8796 0.7179
126 O 0.5860 0.2604 0.4860
127 O 0.5877 0.1930 0.0832
128 O 0.6053 0.4123 0.7498
129 O 0.6296 0.7075 0.1138
130 O 0.6324 0.4724 0.2751
131 O 0.6474 0.9855 0.4940
132 O 0.6558 0.5200 0.4430
133 O 0.6580 0.6843 0.5574
134 O 0.6619 0.6474 0.6607
135 O 0.6648 0.9819 0.8131
136 O 0.6744 0.4140 0.1526
137 O 0.6829 0.6648 0.9797
138 O 0.6843 0.0263 0.3907
139 O 0.6882 0.5679 0.8846
140 O 0.6943 0.7601 0.7804
141 O 0.7075 0.0779 0.9471
142 O 0.7229 0.2515 0.7181
143 O 0.7243 0.9658 0.1635
144 O 0.7300 0.9568 0.0595
145 O 0.7396 0.3256 0.8193
146 O 0.7485 0.4714 0.0514
147 O 0.7497 0.2117 0.2652
148 O 0.7585 0.7243 0.3302
149 O 0.7601 0.0657 0.6137
150 O 0.7732 0.7300 0.2261
151 O 0.7883 0.5380 0.5986
152 O 0.8070 0.3947 0.4165
153 O 0.8241 0.9118 0.4443
154 O 0.8400 0.3676 0.9417
155 O 0.8416 0.8561 0.9019
156 O 0.8561 0.0146 0.7353
157 O 0.8642 0.3442 0.1097
158 O 0.8796 0.3118 0.5512
159 O 0.9118 0.0877 0.2776
160 O 0.9123 0.8241 0.6109
161 O 0.9221 0.6296 0.2804
162 O 0.9343 0.6943 0.9470
163 O 0.9568 0.2268 0.8928
164 O 0.9658 0.2415 0.9969
165 O 0.9737 0.6580 0.7240
166 O 0.9819 0.3171 0.6464
167 O 0.9855 0.3381 0.3274
168 O 0.9854 0.8416 0.0686

The calculation puts the energy above the most stable polymorph in this dataset at 80 meV per atom. Its formation energy is -2.401 eV/atom. For the volume, the calculation gives 12.5 Å³ per atom. Its space-group type is No. 169.

---

(2)
Below is a relaxed structure of LiFePO4, with properties calculated at the PBE+U level.

a b c (Å): 5.6895 8.0780 8.0791
angles (deg): 62.43 69.38 69.39
Sites, in units of the cell vectors:
1 Li 0.7500 0.7500 0.7500
2 O 0.0257 0.7187 0.2300
3 Fe 0.8750 0.9430 0.3069
4 P 0.3750 0.7710 0.4790
5 Fe 0.1250 0.0570 0.6931
6 O 0.7242 0.0201 0.5314
7 O 0.6547 0.1591 0.0909
8 O 0.7758 0.4800 0.9686
9 O 0.5952 0.6591 0.5909
10 O 0.2243 0.5200 0.0314
11 O 0.9743 0.2813 0.7700
12 Fe 0.3750 0.4431 0.8070
13 Li 0.2500 0.2500 0.2500
14 O 0.8452 0.3409 0.4091
15 O 0.1547 0.6591 0.5909
16 P 0.6250 0.2290 0.5211
17 O 0.3453 0.8409 0.9091
18 O 0.9048 0.8409 0.9091
19 Li 0.5000 0.0000 0.0000
20 O 0.4048 0.3409 0.4091
21 Fe 0.6250 0.5569 0.1930
22 O 0.4743 0.7813 0.2700
23 Li 0.0000 0.5000 0.5000
24 P 0.1250 0.7290 0.0211
25 O 0.5257 0.2187 0.7299
26 O 0.0952 0.1591 0.0909
27 O 0.2757 0.9800 0.4686
28 P 0.8750 0.2710 0.9789

The calculation puts the energy above the most stable polymorph in this dataset at 74 meV per atom. Its formation energy is -2.406 eV/atom. For the volume, the calculation gives 10.7 Å³ per atom.

---

(3)
Below is a relaxed structure of LiFeP2O7, with properties calculated at the PBE+U level.

a b c (Å): 6.4564 9.3685 10.5204
angles (deg): 65.46 85.90 72.90
Sites, in units of the cell vectors:
1 Li 0.0000 0.0000 0.0000
2 Li 0.0898 0.4526 0.6214
3 Li 0.5703 0.0095 0.5378
4 Li 0.6912 0.7888 0.0758
5 Fe 0.0168 0.4359 0.3508
6 Fe 0.3027 0.4339 0.8578
7 Fe 0.3721 0.8400 0.8118
8 Fe 0.9263 0.0338 0.3668
9 P 0.0676 0.2479 0.1339
10 P 0.2353 0.6357 0.0605
11 P 0.3382 0.7383 0.5511
12 P 0.5335 0.3838 0.3044
13 P 0.5740 0.1176 0.7991
14 P 0.7253 0.7476 0.3885
15 P 0.7707 0.4988 0.8951
16 P 0.9542 0.1322 0.6397
17 O 0.0071 0.0923 0.1542
18 O 0.0357 0.6132 0.1453
19 O 0.0483 0.2741 0.5570
20 O 0.0816 0.2407 0.2833
21 O 0.0864 0.0112 0.7778
22 O 0.1938 0.8557 0.4189
23 O 0.2233 0.6315 0.9148
24 O 0.2592 0.5942 0.6480
25 O 0.2629 0.2782 0.0494
26 O 0.2839 0.7999 0.0256
27 O 0.3323 0.4069 0.3880
28 O 0.3682 0.2531 0.7950
29 O 0.3846 0.8368 0.6278
30 O 0.4445 0.4880 0.1412
31 O 0.5184 0.0133 0.7314
32 O 0.5666 0.6596 0.5021
33 O 0.6082 0.4188 0.8740
34 O 0.6278 0.2050 0.3246
35 O 0.6363 0.8147 0.2421
36 O 0.6621 0.6740 0.8830
37 O 0.7009 0.0117 0.9385
38 O 0.7051 0.4566 0.3249
39 O 0.7240 0.2162 0.6868
40 O 0.7485 0.8807 0.4337
41 O 0.8607 0.4027 0.0570
42 O 0.9094 0.0458 0.5536
43 O 0.9398 0.6056 0.4272
44 O 0.9675 0.4770 0.8076

The calculation puts the energy above the most stable polymorph in this dataset at 37 meV per atom. Its formation energy is -2.489 eV/atom. For the volume, the calculation gives 12.6 Å³ per atom. Its space-group type is No. 1.

---

(4)
Below is a relaxed structure of Li7Fe4P6O24, with properties calculated at the PBE+U level.

a b c (Å): 8.4859 8.4925 9.0054
angles (deg): 62.10 62.37 60.09
Sites, in units of the cell vectors:
1 Li 0.0000 0.0000 0.0000
2 Li 0.0276 0.0024 0.3951
3 Li 0.1356 0.5202 0.4863
4 Li 0.3128 0.2019 0.1965
5 Li 0.4938 0.6335 0.7046
6 Li 0.5706 0.5942 0.1885
7 Li 0.8308 0.1476 0.6950
8 Fe 0.0803 0.7113 0.7788
9 Fe 0.3803 0.0014 0.9022
10 Fe 0.5886 0.2060 0.2935
11 Fe 0.8704 0.5139 0.3863
12 P 0.1919 0.1041 0.5901
13 P 0.2797 0.6028 0.0930
14 P 0.4646 0.4034 0.5899
15 P 0.6908 0.9109 0.0825
16 P 0.7644 0.8245 0.5940
17 P 0.9814 0.3161 0.0929
18 O 0.0255 0.4811 0.9304
19 O 0.0284 0.2957 0.2506
20 O 0.0396 0.3078 0.5748
21 O 0.0930 0.6252 0.2470
22 O 0.1022 0.9802 0.5906
23 O 0.1042 0.1164 0.0616
24 O 0.2308 0.0183 0.7685
25 O 0.2470 0.6568 0.9170
26 O 0.3363 0.6028 0.6171
27 O 0.3686 0.7366 0.0729
28 O 0.3754 0.0994 0.4310
29 O 0.3953 0.2487 0.7444
30 O 0.4228 0.3929 0.1283
31 O 0.4464 0.4160 0.4189
32 O 0.4899 0.0177 0.0565
33 O 0.6290 0.8535 0.7730
34 O 0.6680 0.3711 0.5719
35 O 0.7076 0.7079 0.2078
36 O 0.7213 0.6966 0.5528
37 O 0.7263 0.0291 0.1461
38 O 0.7557 0.0229 0.4477
39 O 0.7685 0.3505 0.1417
40 O 0.8526 0.9085 0.9007
41 O 0.9765 0.7343 0.5963

The calculation puts the energy above the most stable polymorph in this dataset at 0 meV per atom. Its formation energy is -2.503 eV/atom. For the volume, the calculation gives 11.6 Å³ per atom. Its space-group type is No. 1.

---

(5)
Below is a relaxed structure of LiFePO4, with properties calculated at the PBE+U level.

a b c (Å): 5.1853 6.1316 9.6305
angles (deg): 90.02 95.63 90.10
Sites, in units of the cell vectors:
1 Li 0.0000 0.0000 0.0000
2 Li 0.1822 0.5003 0.3536
3 Li 0.5002 0.2205 0.4996
4 Li 0.6833 0.7201 0.8541
5 Fe 0.0486 0.9736 0.5872
6 Fe 0.1375 0.4728 0.7632
7 Fe 0.5499 0.2479 0.0875
8 Fe 0.6332 0.7475 0.2646
9 P 0.0836 0.5087 0.0628
10 P 0.0990 0.0088 0.2900
11 P 0.5844 0.7121 0.5635
12 P 0.6000 0.2113 0.7906
13 O 0.0558 0.6942 0.9529
14 O 0.0589 0.7949 0.3729
15 O 0.1230 0.2946 0.9803
16 O 0.1247 0.1937 0.4008
17 O 0.3332 0.5289 0.1684
18 O 0.3385 0.9982 0.2049
19 O 0.3438 0.7218 0.6485
20 O 0.3486 0.1927 0.6856
21 O 0.5586 0.5268 0.4532
22 O 0.5623 0.4255 0.8730
23 O 0.6232 0.0263 0.9010
24 O 0.6227 0.9260 0.4806
25 O 0.8332 0.6941 0.6692
26 O 0.8388 0.2207 0.7050
27 O 0.8444 0.4972 0.1487
28 O 0.8494 0.0285 0.1849

The calculation puts the energy above the most stable polymorph in this dataset at 61 meV per atom. Its formation energy is -2.419 eV/atom. For the volume, the calculation gives 10.9 Å³ per atom. Its space-group type is No. 1.

---

(6)
Below is a relaxed structure of Li2FeP2O7, with properties calculated at the PBE+U level.

a b c (Å): 8.0598 5.1634 14.3141
angles (deg): 90.00 112.11 90.00
Sites, in units of the cell vectors:
1 Li 0.0300 0.2119 0.1768
2 Li 0.0300 0.2881 0.6768
3 Li 0.4255 0.2485 0.1617
4 Li 0.4255 0.2515 0.6617
5 Li 0.5745 0.7485 0.3383
6 Li 0.5745 0.7515 0.8383
7 Li 0.9700 0.7119 0.3232
8 Li 0.9700 0.7881 0.8232
9 Fe 0.2793 0.2165 0.8786
10 Fe 0.2793 0.2835 0.3786
11 Fe 0.7207 0.7165 0.6214
12 Fe 0.7207 0.7835 0.1214
13 P 0.1851 0.7165 0.1933
14 P 0.1851 0.7835 0.6933
15 P 0.2942 0.7195 0.0225
16 P 0.2942 0.7805 0.5225
17 P 0.7058 0.2195 0.4775
18 P 0.7058 0.2805 0.9775
19 P 0.8149 0.2165 0.3067
20 P 0.8149 0.2835 0.8067
21 O 0.0037 0.2484 0.8050
22 O 0.0037 0.2516 0.3050
23 O 0.1482 0.7334 0.5749
24 O 0.1482 0.7666 0.0749
25 O 0.2063 0.6557 0.4190
26 O 0.2063 0.8443 0.9190
27 O 0.2482 0.0666 0.7163
28 O 0.2482 0.4334 0.2163
29 O 0.3191 0.5841 0.7575
30 O 0.3191 0.9159 0.2575
31 O 0.3207 0.0744 0.5175
32 O 0.3207 0.4256 0.0175
33 O 0.4621 0.6352 0.5916
34 O 0.4621 0.8648 0.0916
35 O 0.5379 0.1352 0.9084
36 O 0.5379 0.3648 0.4084
37 O 0.6793 0.5744 0.9825
38 O 0.6793 0.9256 0.4825
39 O 0.6809 0.0841 0.7425
40 O 0.6809 0.4159 0.2425
41 O 0.7518 0.5666 0.7837
42 O 0.7518 0.9334 0.2837
43 O 0.7937 0.1557 0.0810
44 O 0.7937 0.3443 0.5810
45 O 0.8518 0.2334 0.9251
46 O 0.8518 0.2666 0.4251
47 O 0.9963 0.7484 0.6950
48 O 0.9963 0.7516 0.1950

The calculation puts the energy above the most stable polymorph in this dataset at 30 meV per atom. Its formation energy is -2.541 eV/atom. For the volume, the calculation gives 11.5 Å³ per atom. Its space-group type is No. 14.